# 1
This record from the Materials Project describes a geometry-optimized Ag2S structure. The functional is PBE.

Calculated values
energy of formation: -0.151 eV/atom

a = 4.4180 Å, b = 4.4180 Å, c = 4.4180 Å
α = 60.00°, β = 60.00°, γ = 60.00°
Fractional positions:
1 Ag 0.7500 0.7500 0.7500
2 Ag 0.2500 0.2500 0.2500
3 S 0.0000 0.0000 0.0000


# 2
This record from the Materials Project describes a geometry-optimized Te6Mo3WSe2 structure. The functional is PBE.

Calculated values
polymorph energy (0 for the lowest one): 0.22 eV/f.u.
energy of formation: -0.384 eV/atom

a = 3.4985 Å, b = 3.4985 Å, c = 39.5810 Å
α = 90.00°, β = 90.00°, γ = 120.00°
Fractional positions:
1 Te 0.3333 0.6667 0.3283
2 Te 0.3333 0.6667 0.7038
3 Te 0.6667 0.3333 0.4234
4 Te 0.6667 0.3333 0.5159
5 Te 0.3333 0.6667 0.2352
6 Te 0.3333 0.6667 0.6112
7 Mo 0.3333 0.6667 0.0939
8 Mo 0.3333 0.6667 0.4697
9 Mo 0.6667 0.3333 0.6576
10 W 0.6667 0.3333 0.2818
11 Se 0.6667 0.3333 0.0530
12 Se 0.6667 0.3333 0.1348


# 3
This record from the Materials Project describes a geometry-optimized SiO2 structure. The functional is PBE.

Calculated values
energy of formation: -3.058 eV/atom

a = 17.3736 Å, b = 17.3736 Å, c = 13.0258 Å
α = 90.00°, β = 90.00°, γ = 120.00°
Fractional positions:
1 Si 0.8742 0.4371 0.1667
2 Si 0.8364 0.2761 0.2838
3 Si 0.1258 0.5629 0.1667
4 Si 0.8364 0.5602 0.0495
5 Si 0.6202 0.0000 0.5000
6 Si 0.2761 0.4398 0.9505
7 Si 0.5629 0.1258 0.5000
8 Si 0.4398 0.1636 0.6172
9 Si 0.2761 0.8364 0.3829
10 Si 0.3798 0.3798 0.8333
11 Si 0.1636 0.4398 0.0495
12 Si 0.3798 0.0000 0.5000
13 Si 0.6202 0.6202 0.8333
14 Si 0.0000 0.6202 0.1667
15 Si 0.4371 0.5629 0.8333
16 Si 0.5602 0.8364 0.6172
17 Si 0.4371 0.8742 0.5000
18 Si 0.7239 0.5602 0.9505
19 Si 0.0000 0.3798 0.1667
20 Si 0.4398 0.2761 0.7162
21 Si 0.1636 0.7239 0.2838
22 Si 0.5602 0.7239 0.7162
23 Si 0.7239 0.1636 0.3829
24 Si 0.5629 0.4371 0.8333
25 O 0.2536 0.4318 0.0762
26 O 0.9346 0.5297 0.2325
27 O 0.2958 0.3623 0.9070
28 O 0.5382 0.1814 0.5818
29 O 0.3623 0.2958 0.7596
30 O 0.4618 0.8186 0.5818
31 O 0.7042 0.6377 0.9070
32 O 0.5682 0.7464 0.5905
33 O 0.4048 0.9346 0.5659
34 O 0.5682 0.8218 0.7428
35 O 0.4048 0.4703 0.7675
36 O 0.5952 0.0654 0.5659
37 O 0.7464 0.5682 0.0762
38 O 0.6431 0.4618 0.9151
39 O 0.5952 0.5297 0.7675
40 O 0.4703 0.0654 0.4341
41 O 0.5297 0.5952 0.8992
42 O 0.0654 0.4703 0.2325
43 O 0.8218 0.5682 0.9238
44 O 0.3569 0.5382 0.9151
45 O 0.3623 0.0664 0.5737
46 O 0.0664 0.7042 0.2404
47 O 0.6431 0.1814 0.4182
48 O 0.7464 0.1782 0.2572
49 O 0.8218 0.2536 0.4095
50 O 0.6377 0.7042 0.7596
51 O 0.2536 0.8218 0.2572
52 O 0.8186 0.3569 0.2484
53 O 0.7042 0.0664 0.4263
54 O 0.4318 0.1782 0.7428
55 O 0.0654 0.5952 0.1008
56 O 0.4318 0.2536 0.5905
57 O 0.1814 0.6431 0.2484
58 O 0.6377 0.9336 0.5737
59 O 0.5297 0.9346 0.4341
60 O 0.3569 0.8186 0.4182
61 O 0.9346 0.4048 0.1008
62 O 0.0664 0.3623 0.0930
63 O 0.9336 0.2958 0.2404
64 O 0.2958 0.9336 0.4263
65 O 0.5382 0.3569 0.7516
66 O 0.1782 0.7464 0.4095
67 O 0.4703 0.4048 0.8992
68 O 0.1814 0.5382 0.0849
69 O 0.4618 0.6431 0.7516
70 O 0.1782 0.4318 0.9238
71 O 0.8186 0.4618 0.0849
72 O 0.9336 0.6377 0.0930


# 4
This record from the Materials Project describes a geometry-optimized Sr structure. The functional is PBE.

Calculated values
polymorph energy (0 for the lowest one): 0.40 eV/f.u.
energy of formation: 0.400 eV/atom

a = 3.7730 Å, b = 3.7730 Å, c = 3.8813 Å
α = 90.00°, β = 90.00°, γ = 90.00°
Fractional positions:
1 Sr 0.0000 0.0000 0.0000


# 5
This record from the Materials Project describes a geometry-optimized WN2 structure. The functional is PBE.

Calculated values
energy of formation: -0.415 eV/atom

a = 6.6190 Å, b = 6.6190 Å, c = 6.8818 Å
α = 74.09°, β = 74.09°, γ = 33.23°
Fractional positions:
1 W 0.9020 0.9020 0.7124
2 W 0.8085 0.8085 0.2761
3 W 0.1915 0.1915 0.7239
4 W 0.0980 0.0980 0.2876
5 N 0.9440 0.9440 0.3606
6 N 0.3601 0.3601 0.7071
7 N 0.8660 0.8660 0.0015
8 N 0.7370 0.7370 0.6464
9 N 0.2630 0.2630 0.3536
10 N 0.1340 0.1340 0.9985
11 N 0.6399 0.6399 0.2929
12 N 0.0560 0.0560 0.6394


# 6
This record from the Materials Project describes a geometry-optimized TeOs3C9O9 structure. The functional is PBE.

Calculated values
energy of formation: -0.833 eV/atom

a = 13.0164 Å, b = 13.0164 Å, c = 13.0478 Å
α = 61.74°, β = 61.74°, γ = 68.98°
Fractional positions:
1 Te 0.0698 0.4955 0.1888
2 Te 0.5045 0.9302 0.3112
3 Te 0.9302 0.5045 0.8112
4 Te 0.4955 0.0698 0.6888
5 Os 0.9355 0.6965 0.2386
6 Os 0.3035 0.0645 0.2614
7 Os 0.0645 0.3035 0.7614
8 Os 0.6965 0.9355 0.7386
9 Os 0.0112 0.7028 0.0082
10 Os 0.2972 0.9888 0.4918
11 Os 0.9888 0.2972 0.9918
12 Os 0.7028 0.0112 0.5082
13 Os 0.2103 0.6450 0.1016
14 Os 0.3550 0.7897 0.3984
15 Os 0.7897 0.3550 0.8984
16 Os 0.6450 0.2103 0.6016
17 C 0.8755 0.8609 0.2009
18 C 0.1391 0.1245 0.2991
19 C 0.1245 0.1391 0.7991
20 C 0.8609 0.8755 0.7009
21 C 0.7886 0.6514 0.3054
22 C 0.3486 0.2114 0.1946
23 C 0.2114 0.3486 0.6946
24 C 0.6514 0.7886 0.8054
25 C 0.9307 0.6547 0.4048
26 C 0.3453 0.0693 0.0952
27 C 0.0693 0.3453 0.5952
28 C 0.6547 0.9307 0.9048
29 C 0.9595 0.8676 0.9352
30 C 0.1324 0.0405 0.5648
31 C 0.0405 0.1324 0.0648
32 C 0.8676 0.9595 0.4352
33 C 0.8781 0.6648 0.0225
34 C 0.3352 0.1219 0.4775
35 C 0.1219 0.3352 0.9775
36 C 0.6648 0.8781 0.5225
37 C 0.1174 0.6650 0.8595
38 C 0.3350 0.8826 0.6405
39 C 0.8826 0.3350 0.1405
40 C 0.6650 0.1174 0.3595
41 C 0.2676 0.7904 0.0385
42 C 0.2096 0.7324 0.4615
43 C 0.7324 0.2096 0.9615
44 C 0.7904 0.2676 0.5385
45 C 0.3403 0.5783 0.9917
46 C 0.4217 0.6597 0.5083
47 C 0.6597 0.4217 0.0083
48 C 0.5783 0.3403 0.4917
49 C 0.2766 0.5618 0.2250
50 C 0.4382 0.7234 0.2750
51 C 0.7234 0.4382 0.7750
52 C 0.5618 0.2766 0.7250
53 O 0.8375 0.9618 0.1795
54 O 0.0382 0.1625 0.3205
55 O 0.1625 0.0382 0.8205
56 O 0.9618 0.8375 0.6795
57 O 0.7002 0.6216 0.3374
58 O 0.3784 0.2998 0.1626
59 O 0.2998 0.3784 0.6626
60 O 0.6216 0.7002 0.8374
61 O 0.9135 0.6306 0.5090
62 O 0.3694 0.0865 0.9910
63 O 0.0865 0.3694 0.4910
64 O 0.6306 0.9135 0.0090
65 O 0.9236 0.9682 0.8930
66 O 0.0318 0.0764 0.6070
67 O 0.0764 0.0318 0.1070
68 O 0.9682 0.9236 0.3930
69 O 0.7903 0.6410 0.0421
70 O 0.3590 0.2097 0.4579
71 O 0.2097 0.3590 0.9579
72 O 0.6410 0.7903 0.5421
73 O 0.1744 0.6393 0.7713
74 O 0.3607 0.8256 0.7287
75 O 0.8256 0.3607 0.2287
76 O 0.6393 0.1744 0.2713
77 O 0.3159 0.8667 0.0055
78 O 0.1333 0.6841 0.4945
79 O 0.6841 0.1333 0.9945
80 O 0.8667 0.3159 0.5055
81 O 0.4136 0.5360 0.9200
82 O 0.4640 0.5864 0.5800
83 O 0.5864 0.4640 0.0800
84 O 0.5360 0.4136 0.4200
85 O 0.3075 0.5113 0.3095
86 O 0.4887 0.6925 0.1905
87 O 0.6925 0.4887 0.6905
88 O 0.5113 0.3075 0.8095


# 7
This record from the Materials Project describes a geometry-optimized Hf2TcOs structure. The functional is PBE.

Calculated values
energy of formation: -0.633 eV/atom

a = 4.6109 Å, b = 4.6109 Å, c = 4.6109 Å
α = 60.00°, β = 60.00°, γ = 60.00°
Fractional positions:
1 Hf 0.2500 0.2500 0.2500
2 Hf 0.7500 0.7500 0.7500
3 Tc 0.0000 0.0000 0.0000
4 Os 0.5000 0.5000 0.5000


# 8
This record from the Materials Project describes a geometry-optimized Ba2TbPrO6 structure. The functional is PBE.

Calculated values
polymorph energy (0 for the lowest one): 0.53 eV/f.u.
energy of formation: -2.984 eV/atom

a = 6.3809 Å, b = 6.3809 Å, c = 6.3809 Å
α = 60.00°, β = 60.00°, γ = 60.00°
Fractional positions:
1 Ba 0.2500 0.2500 0.2500
2 Ba 0.7500 0.7500 0.7500
3 Tb 0.5000 0.5000 0.5000
4 Pr 0.0000 0.0000 0.0000
5 O 0.7455 0.2545 0.2545
6 O 0.2545 0.7455 0.7455
7 O 0.7455 0.2545 0.7455
8 O 0.2545 0.7455 0.2545
9 O 0.7455 0.7455 0.2545
10 O 0.2545 0.2545 0.7455


# 9
This record from the Materials Project describes a geometry-optimized Tb3Ga2Ni6 structure. The functional is PBE.

Calculated values
energy of formation: -0.545 eV/atom

a = 7.7313 Å, b = 7.7313 Å, c = 7.7313 Å
α = 109.47°, β = 109.47°, γ = 109.47°
Fractional positions:
1 Tb 0.7106 0.7106 0.0000
2 Tb 0.2894 0.0000 0.2894
3 Tb 0.0000 0.2894 0.2894
4 Tb 0.2894 0.2894 0.0000
5 Tb 0.7106 0.0000 0.7106
6 Tb 0.0000 0.7106 0.7106
7 Ga 0.0000 0.0000 0.5000
8 Ga 0.0000 0.5000 0.0000
9 Ga 0.5000 0.0000 0.0000
10 Ga 0.5000 0.5000 0.5000
11 Ni 0.3378 0.3378 0.6755
12 Ni 0.6622 0.0000 0.3378
13 Ni 0.0000 0.6622 0.3378
14 Ni 0.6622 0.3378 0.0000
15 Ni 0.3378 0.6755 0.3378
16 Ni 0.0000 0.3378 0.6622
17 Ni 0.3378 0.6622 0.0000
18 Ni 0.3378 0.0000 0.6622
19 Ni 0.6755 0.3378 0.3378
20 Ni 0.6622 0.6622 0.3245
21 Ni 0.6622 0.3245 0.6622
22 Ni 0.3245 0.6622 0.6622


# 10
This record from the Materials Project describes a geometry-optimized SmYAl2 structure. The functional is PBE.

Calculated values
energy of formation: -0.395 eV/atom

a = 5.1535 Å, b = 5.1535 Å, c = 5.1535 Å
α = 60.00°, β = 60.00°, γ = 60.00°
Fractional positions:
1 Sm 0.5000 0.5000 0.5000
2 Y 0.0000 0.0000 0.0000
3 Al 0.7500 0.7500 0.7500
4 Al 0.2500 0.2500 0.2500


# 11
This record from the Materials Project describes a geometry-optimized Nb4VSe8 structure. The functional is PBE.

Calculated values
energy of formation: -1.192 eV/atom

a = 6.9842 Å, b = 6.9842 Å, c = 12.8850 Å
α = 90.00°, β = 90.00°, γ = 120.00°
Fractional positions:
1 Nb 0.0000 0.0000 0.2500
2 Nb 0.0000 0.0000 0.7500
3 Nb 0.5065 0.0130 0.2500
4 Nb 0.4935 0.9870 0.7500
5 Nb 0.9870 0.4935 0.2500
6 Nb 0.0130 0.5065 0.7500
7 Nb 0.5065 0.4935 0.2500
8 Nb 0.4935 0.5065 0.7500
9 V 0.0000 0.0000 0.0000
10 V 0.0000 0.0000 0.5000
11 Se 0.3333 0.6667 0.6174
12 Se 0.6667 0.3333 0.3826
13 Se 0.6667 0.3333 0.1174
14 Se 0.3333 0.6667 0.8826
15 Se 0.1673 0.3345 0.1205
16 Se 0.8327 0.6655 0.8795
17 Se 0.6655 0.8327 0.1205
18 Se 0.8327 0.6655 0.6205
19 Se 0.3345 0.1673 0.8795
20 Se 0.1673 0.3345 0.3795
21 Se 0.1673 0.8327 0.1205
22 Se 0.3345 0.1673 0.6205
23 Se 0.8327 0.1673 0.8795
24 Se 0.6655 0.8327 0.3795
25 Se 0.8327 0.1673 0.6205
26 Se 0.1673 0.8327 0.3795


# 12
This record from the Materials Project describes a geometry-optimized La3Mg2CrS8 structure. The functional is PBE.

Calculated values
energy of formation: -1.822 eV/atom

a = 8.0830 Å, b = 7.9279 Å, c = 8.0832 Å
α = 59.35°, β = 60.00°, γ = 59.35°
Fractional positions:
1 La 0.5000 0.5000 0.5000
2 La 0.5000 0.5000 0.0000
3 La 0.0000 0.5000 0.5000
4 Mg 0.8737 0.8788 0.8737
5 Mg 0.1263 0.1212 0.1263
6 Cr 0.5000 0.0000 0.5000
7 S 0.7264 0.7814 0.7264
8 S 0.2736 0.2186 0.7343
9 S 0.2518 0.7446 0.2518
10 S 0.7343 0.2186 0.2736
11 S 0.7482 0.2554 0.7482
12 S 0.2657 0.7814 0.7264
13 S 0.2736 0.2185 0.2736
14 S 0.7264 0.7814 0.2657